An optimized crystal structure of Mn3Ni3Sn2, computed with PBE.

energy of formation = -39 meV per atom
density = 8.50 g/cm³

abc: 4.3119 4.3119 21.0575
angles: 90.00 90.00 120.00
Space group R3m (No. 160, hexagonal axes)
Unique sites:
Mn 0.0000 0.0000 0.0000 (multiplicity 3)
Mn 0.0000 0.0000 0.1281 (multiplicity 3)
Mn 0.0000 0.0000 0.5026 (multiplicity 3)
Ni 0.0000 0.0000 0.3798 (multiplicity 3)
Ni 0.0000 0.0000 0.6233 (multiplicity 3)
Ni 0.0000 0.0000 0.8734 (multiplicity 3)
Sn 0.0000 0.0000 0.2550 (multiplicity 3)
Sn 0.0000 0.0000 0.7469 (multiplicity 3)